Entry 1:
Density functional theory data (PBE+U) for an optimized crystal structure of Li3MnVP3O12.

Unit cell a=9.8754 b=9.8860 c=9.9161 alpha=87.07 beta=86.51 gamma=88.33
With the nearest neighbours (Å) after each atom.
Element x y z (fractional)
O: 0.4174 0.3044 0.5920  1 P 1.52
P: 0.8433 0.0418 0.6707  4 O 1.51-1.60
O: 0.5312 0.9043 0.1177  1 P 1.55
O: 0.6621 0.8777 0.8918  1 P 1.60
P: 0.3523 0.1768 0.5494  4 O 1.52-1.61
O: 0.6874 0.0705 0.7112  1 P 1.59
O: 0.3920 0.6141 0.9685  1 P 1.53
Li: 0.2317 0.5599 0.6409  3 O 1.92-2.00
Li: 0.3606 0.7652 0.4365  3 O 1.87-1.95
V: 0.5294 0.9700 0.7488  5 O 1.88-2.08
P: 0.8243 0.4537 0.6462  4 O 1.53-1.62
O: 0.0267 0.6090 0.3864  1 P 1.56
O: 0.2743 0.5986 0.4442  1 P 1.53
Li: 0.1310 0.0517 0.7381  3 O 1.91-2.01
Mn: 0.9667 0.7400 0.5272  3 O 1.93-2.00
O: 0.8735 0.0965 0.5270  1 P 1.51
Li: 0.9358 0.2727 0.8463  3 O 1.91-2.02
P: 0.1702 0.5463 0.3525  4 O 1.53-1.57
O: 0.9330 0.0970 0.7745  1 P 1.53
Li: 0.5257 0.4503 0.4931  3 O 2.00-2.10
O: 0.6906 0.7050 0.0894  1 P 1.54
P: 0.6696 0.8575 0.0521  4 O 1.54-1.60
O: 0.4049 0.5668 0.7186  1 P 1.53
O: 0.3290 0.1225 0.1123  1 P 1.60
O: 0.7957 0.8094 0.4124  1 P 1.55
P: 0.0503 0.6740 0.8572  4 O 1.52-1.61
Li: 0.7711 0.4172 0.3642  3 O 1.92-1.95
P: 0.9530 0.3329 0.1413  4 O 1.53-1.60
O: 0.2023 0.5822 0.1983  1 P 1.57
O: 0.8955 0.4782 0.1062  1 P 1.56
Li: 0.0712 0.7243 0.1373  3 O 1.92-2.01
O: 0.8724 0.8816 0.6768  1 P 1.60
O: 0.3921 0.3798 0.1678  1 P 1.58
O: 0.9646 0.3919 0.6079  1 P 1.53
P: 0.4536 0.6548 0.8275  4 O 1.53-1.59
P: 0.6425 0.8330 0.4484  4 O 1.54-1.59
V: 0.2467 0.2503 0.2524  6 O 1.99-2.06
O: 0.1150 0.3338 0.1206  1 P 1.60
O: 0.0922 0.8795 0.4648  1 P 1.56
Li: 0.4568 0.3658 0.7647  3 O 1.91-2.07
Mn: 0.0193 0.2410 0.4759  6 O 2.07-2.26
Li: 0.8556 0.9429 0.2720  3 O 1.95-2.11
O: 0.4264 0.8111 0.7966  1 P 1.58
O: 0.6135 0.6278 0.8290  1 P 1.59
O: 0.8893 0.6572 0.8808  1 P 1.61
O: 0.4516 0.0893 0.8836  1 P 1.56
P: 0.1450 0.9465 0.3260  4 O 1.54-1.57
O: 0.5873 0.2030 0.1860  1 P 1.55
O: 0.0605 0.8999 0.2120  1 P 1.54
O: 0.7124 0.4165 0.5560  1 P 1.53
Li: 0.7399 0.1406 0.0648  3 O 1.89-1.97
Mn: 0.7613 0.5317 0.9728  4 O 1.93-2.12
O: 0.1999 0.1678 0.5878  1 P 1.53
O: 0.4216 0.0445 0.6100  1 P 1.57
O: 0.7939 0.4156 0.7989  1 P 1.56
O: 0.5530 0.7192 0.4072  1 P 1.54
V: 0.4647 0.0361 0.2506  6 O 1.97-2.12
O: 0.7836 0.9470 0.0930  1 P 1.54
O: 0.6006 0.9701 0.3776  1 P 1.55
V: 0.2563 0.4727 0.0313  6 O 1.96-2.12
P: 0.3207 0.1519 0.9533  4 O 1.52-1.60
P: 0.5512 0.3567 0.1728  4 O 1.54-1.58
O: 0.9111 0.2987 0.2904  1 P 1.54
Li: 0.0491 0.9750 0.0109  3 O 1.99-2.10
O: 0.3793 0.1715 0.3883  1 P 1.61
O: 0.1710 0.3879 0.3780  1 P 1.57
O: 0.0838 0.7911 0.9425  1 P 1.52
O: 0.6193 0.4101 0.0356  1 P 1.55
O: 0.5941 0.4402 0.2892  1 P 1.54
O: 0.8340 0.6171 0.6239  1 P 1.62
O: 0.1195 0.5384 0.9067  1 P 1.56
O: 0.0875 0.6919 0.7036  1 P 1.55
O: 0.1214 0.1040 0.3271  1 P 1.57
O: 0.9061 0.2313 0.0431  1 P 1.53
O: 0.1919 0.0898 0.9112  1 P 1.52
O: 0.2996 0.9107 0.3122  1 P 1.56
O: 0.3275 0.3085 0.9212  1 P 1.57
Li: 0.5626 0.6425 0.2340  3 O 1.91-2.07
O: 0.6185 0.8419 0.6075  1 P 1.59
Mn: 0.7451 0.7525 0.7531  6 O 1.91-2.13

## Properties
Total moment (μB/f.u.): 6.00
Energy (eV/atom): -7.006
Energy with MP2020 corrections (eV per atom): -7.5864
Calculated formation energy (eV per atom): -2.61


Entry 2:
Density functional theory data (PBE+U) for an optimized crystal structure of Li3MnVP3O12.

Unit cell a=8.8136 b=8.4303 c=12.3146 alpha=88.20 beta=90.00 gamma=90.00
With the nearest neighbours (Å) after each atom.
Element x y z (fractional)
Li: 0.0005 0.0033 0.4997  6 O 2.18-2.28
O: 0.5882 0.9818 0.8962  1 P 1.51
O: 0.5976 0.5794 0.3335  1 P 1.56
Li: 0.5010 0.5039 0.9998  6 O 2.20-2.32
O: 0.5931 0.7455 0.5077  1 P 1.54
O: 0.8056 0.6178 0.1837  1 P 1.51
P: 0.2937 0.5036 0.7492  4 O 1.51-1.58
O: 0.6765 0.3477 0.5914  1 P 1.56
O: 0.4099 0.0155 0.1062  1 P 1.55
Mn: 0.0067 0.2889 0.8575  5 O 1.91-2.07
P: 0.3564 0.1508 0.3958  4 O 1.51-1.57
O: 0.5996 0.7492 0.7075  1 P 1.52
O: 0.4118 0.9818 0.3962  1 P 1.51
O: 0.1039 0.4669 0.4090  1 P 1.56
Li: 0.8069 0.2925 0.0464  3 O 2.08-2.31
O: 0.1769 0.8561 0.0917  1 P 1.57
O: 0.3186 0.6449 0.4096  1 P 1.53
O: 0.2867 0.8755 0.8140  1 P 1.51
P: 0.3533 0.8419 0.1048  4 O 1.52-1.57
P: 0.1999 0.0018 0.7501  4 O 1.51-1.57
O: 0.0597 0.7444 0.4819  1 P 1.55
O: 0.0920 0.7205 0.2879  1 P 1.53
O: 0.0631 0.2510 0.0192  1 P 1.55
O: 0.2018 0.3857 0.8165  1 P 1.51
O: 0.8923 0.5267 0.5930  1 P 1.54
O: 0.8183 0.1413 0.9100  1 P 1.55
P: 0.8001 0.0018 0.2501  4 O 1.51-1.57
O: 0.6814 0.6449 0.9096  1 P 1.53
Li: 0.4990 0.5039 0.4998  6 O 2.20-2.32
O: 0.1077 0.5267 0.0930  1 P 1.54
P: 0.1456 0.6464 0.3966  4 O 1.53-1.56
Li: 0.8987 0.0061 0.7503  3 O 2.07-2.28
O: 0.4071 0.2443 0.2916  1 P 1.55
O: 0.7021 0.1262 0.1888  1 P 1.54
O: 0.4024 0.5794 0.8334  1 P 1.56
O: 0.4069 0.7455 0.0077  1 P 1.54
O: 0.8231 0.8561 0.5917  1 P 1.57
V: 0.5007 0.2134 0.6447  6 O 1.92-2.04
O: 0.9109 0.0765 0.3347  1 P 1.57
Mn: 0.9933 0.2889 0.3575  5 O 1.91-2.07
O: 0.2979 0.1262 0.6888  1 P 1.54
O: 0.4128 0.2504 0.4931  1 P 1.57
O: 0.3235 0.3477 0.0914  1 P 1.56
Li: 0.1013 0.0061 0.2503  3 O 2.07-2.28
O: 0.5977 0.4280 0.1631  1 P 1.58
P: 0.6467 0.8419 0.6048  4 O 1.52-1.57
Li: 0.6002 0.5034 0.7511  4 O 2.12-2.23
V: 0.4993 0.2134 0.1447  6 O 1.92-2.04
O: 0.8961 0.4669 0.9090  1 P 1.56
P: 0.8525 0.3493 0.6043  4 O 1.53-1.56
Li: 0.1931 0.2925 0.5464  3 O 2.08-2.31
Li: 0.9995 0.0033 0.9997  6 O 2.18-2.28
O: 0.9403 0.7444 0.9819  1 P 1.55
O: 0.4004 0.7492 0.2075  1 P 1.52
O: 0.7133 0.8755 0.3140  1 P 1.51
Mn: 0.4977 0.7898 0.8527  5 O 1.90-2.09
O: 0.0891 0.0765 0.8347  1 P 1.57
O: 0.5901 0.0155 0.6062  1 P 1.55
P: 0.8544 0.6464 0.8966  4 O 1.53-1.56
Li: 0.1965 0.7078 0.9489  2 O 2.02-2.20
O: 0.7982 0.3857 0.3165  1 P 1.51
O: 0.5929 0.2443 0.7916  1 P 1.55
O: 0.1944 0.6178 0.6837  1 P 1.51
O: 0.9096 0.9336 0.1637  1 P 1.56
O: 0.9369 0.2510 0.5192  1 P 1.55
O: 0.9080 0.7205 0.7879  1 P 1.53
V: 0.9978 0.7157 0.1413  6 O 1.95-2.05
O: 0.5872 0.2504 0.9931  1 P 1.57
O: 0.0904 0.9336 0.6637  1 P 1.56
O: 0.1817 0.1413 0.4100  1 P 1.55
Mn: 0.5023 0.7898 0.3527  5 O 1.90-2.09
O: 0.9021 0.2724 0.7128  1 P 1.53
O: 0.0979 0.2724 0.2128  1 P 1.53
V: 0.0022 0.7157 0.6413  6 O 1.95-2.05
P: 0.1475 0.3493 0.1043  4 O 1.53-1.56
Li: 0.8035 0.7078 0.4489  2 O 2.02-2.20
Li: 0.3998 0.5034 0.2511  4 O 2.12-2.23
O: 0.4023 0.4280 0.6631  1 P 1.58
P: 0.6436 0.1508 0.8958  4 O 1.51-1.57
P: 0.7063 0.5036 0.2492  4 O 1.51-1.58

## Properties
Total moment (μB/f.u.): 6.00
Energy (eV/atom): -6.998
Energy with MP2020 corrections (eV per atom): -7.5782
Calculated formation energy (eV per atom): -2.60